1.
Compound: CsMnH24S2O20
Source: Materials Project
Functional: GGA+U
Structure: optimized geometry

Computed properties:
corrected total energy (MP2020 scheme) = -1075.3 eV/cell
calculated volume = 10.0 A^3/atom
spin magnetization = 16.0 μB/cell
ΔE_f = -70.121 eV/f.u.

a = 12.3721 Å, b = 12.4297 Å, c = 12.5383 Å
α = 90.00°, β = 90.00°, γ = 90.00°
Positions (direct):
1 Cs 0.0000 0.0000 0.0000
2 Cs 0.0000 0.5000 0.5000
3 Cs 0.5000 0.0000 0.5000
4 Cs 0.5000 0.5000 0.0000
5 Mn 0.0000 0.0000 0.5000
6 Mn 0.0000 0.5000 0.0000
7 Mn 0.5000 0.0000 0.0000
8 Mn 0.5000 0.5000 0.5000
9 H 0.0005 0.2323 0.2202
10 H 0.0005 0.2677 0.7202
11 H 0.0164 0.2042 0.5667
12 H 0.0164 0.2958 0.0667
13 H 0.0300 0.6997 0.0603
14 H 0.0300 0.8003 0.5603
15 H 0.0552 0.5215 0.7840
16 H 0.0552 0.9785 0.2840
17 H 0.0678 0.5242 0.2177
18 H 0.0678 0.9758 0.7177
19 H 0.1201 0.2292 0.1811
20 H 0.1201 0.2708 0.6811
21 H 0.1917 0.6334 0.2853
22 H 0.1917 0.8666 0.7853
23 H 0.1996 0.0674 0.5193
24 H 0.1996 0.4326 0.0193
25 H 0.2062 0.5602 0.9741
26 H 0.2062 0.9398 0.4741
27 H 0.2207 0.1741 0.8705
28 H 0.2207 0.3259 0.3705
29 H 0.2293 0.5149 0.2726
30 H 0.2293 0.9851 0.7726
31 H 0.2309 0.2149 0.9882
32 H 0.2309 0.2851 0.4882
33 H 0.2691 0.7149 0.9882
34 H 0.2691 0.7851 0.4882
35 H 0.2707 0.0149 0.2726
36 H 0.2707 0.4851 0.7726
37 H 0.2793 0.6741 0.8705
38 H 0.2793 0.8259 0.3705
39 H 0.2938 0.0602 0.9741
40 H 0.2938 0.4398 0.4741
41 H 0.3004 0.5674 0.5193
42 H 0.3004 0.9326 0.0193
43 H 0.3083 0.1334 0.2853
44 H 0.3083 0.3666 0.7853
45 H 0.3799 0.7292 0.1811
46 H 0.3799 0.7708 0.6811
47 H 0.4322 0.0242 0.2177
48 H 0.4322 0.4758 0.7177
49 H 0.4448 0.0215 0.7840
50 H 0.4448 0.4785 0.2840
51 H 0.4700 0.1997 0.0603
52 H 0.4700 0.3003 0.5603
53 H 0.4836 0.7042 0.5667
54 H 0.4836 0.7958 0.0667
55 H 0.4995 0.7323 0.2202
56 H 0.4995 0.7677 0.7202
57 H 0.5005 0.2323 0.2798
58 H 0.5005 0.2677 0.7798
59 H 0.5164 0.2042 0.9333
60 H 0.5164 0.2958 0.4333
61 H 0.5300 0.6997 0.4397
62 H 0.5300 0.8003 0.9397
63 H 0.5552 0.5215 0.7160
64 H 0.5552 0.9785 0.2160
65 H 0.5678 0.5242 0.2823
66 H 0.5678 0.9758 0.7823
67 H 0.6201 0.2292 0.3189
68 H 0.6201 0.2708 0.8189
69 H 0.6917 0.6334 0.2147
70 H 0.6917 0.8666 0.7147
71 H 0.6996 0.0674 0.9807
72 H 0.6996 0.4326 0.4807
73 H 0.7062 0.5602 0.5259
74 H 0.7062 0.9398 0.0259
75 H 0.7207 0.1741 0.6295
76 H 0.7207 0.3259 0.1295
77 H 0.7293 0.5149 0.2274
78 H 0.7293 0.9851 0.7274
79 H 0.7309 0.2149 0.5118
80 H 0.7309 0.2851 0.0118
81 H 0.7691 0.7149 0.5118
82 H 0.7691 0.7851 0.0118
83 H 0.7707 0.0149 0.2274
84 H 0.7707 0.4851 0.7274
85 H 0.7793 0.6741 0.6295
86 H 0.7793 0.8259 0.1295
87 H 0.7938 0.0602 0.5259
88 H 0.7938 0.4398 0.0259
89 H 0.8004 0.5674 0.9807
90 H 0.8004 0.9326 0.4807
91 H 0.8083 0.1334 0.2147
92 H 0.8083 0.3666 0.7147
93 H 0.8799 0.7292 0.3189
94 H 0.8799 0.7708 0.8189
95 H 0.9322 0.0242 0.2823
96 H 0.9322 0.4758 0.7823
97 H 0.9448 0.0215 0.7160
98 H 0.9448 0.4785 0.2160
99 H 0.9700 0.1997 0.4397
100 H 0.9700 0.3003 0.9397
101 H 0.9836 0.7042 0.9333
102 H 0.9836 0.7958 0.4333
103 H 0.9995 0.7323 0.2798
104 H 0.9995 0.7677 0.7798
105 S 0.1777 0.6724 0.6667
106 S 0.1777 0.8276 0.1667
107 S 0.3223 0.1724 0.6667
108 S 0.3223 0.3276 0.1667
109 S 0.6777 0.6724 0.8333
110 S 0.6777 0.8276 0.3333
111 S 0.8223 0.1724 0.8333
112 S 0.8223 0.3276 0.3333
113 O 0.0045 0.6568 0.9973
114 O 0.0045 0.8432 0.4973
115 O 0.0070 0.0012 0.6710
116 O 0.0070 0.4988 0.1710
117 O 0.0452 0.2161 0.1566
118 O 0.0452 0.2839 0.6566
119 O 0.0697 0.7261 0.6605
120 O 0.0697 0.7739 0.1605
121 O 0.1572 0.0026 0.4962
122 O 0.1572 0.4974 0.9962
123 O 0.1639 0.5603 0.7063
124 O 0.1639 0.9397 0.2063
125 O 0.1687 0.5589 0.2997
126 O 0.1687 0.9411 0.7997
127 O 0.2121 0.1503 0.9453
128 O 0.2121 0.3497 0.4453
129 O 0.2269 0.6696 0.5578
130 O 0.2269 0.8304 0.0578
131 O 0.2501 0.2345 0.7407
132 O 0.2501 0.2655 0.2407
133 O 0.2499 0.7345 0.7407
134 O 0.2499 0.7655 0.2407
135 O 0.2731 0.1696 0.5578
136 O 0.2731 0.3304 0.0578
137 O 0.2879 0.6503 0.9453
138 O 0.2879 0.8497 0.4453
139 O 0.3313 0.0589 0.2997
140 O 0.3313 0.4411 0.7997
141 O 0.3361 0.0603 0.7063
142 O 0.3361 0.4397 0.2063
143 O 0.3428 0.5026 0.4962
144 O 0.3428 0.9974 0.9962
145 O 0.4303 0.2261 0.6605
146 O 0.4303 0.2739 0.1605
147 O 0.4548 0.7161 0.1566
148 O 0.4548 0.7839 0.6566
149 O 0.4930 0.5012 0.6710
150 O 0.4930 0.9988 0.1710
151 O 0.4955 0.1568 0.9973
152 O 0.4955 0.3432 0.4973
153 O 0.5045 0.6568 0.5027
154 O 0.5045 0.8432 0.0027
155 O 0.5070 0.0012 0.8290
156 O 0.5070 0.4988 0.3290
157 O 0.5452 0.2161 0.3434
158 O 0.5452 0.2839 0.8434
159 O 0.5697 0.7261 0.8395
160 O 0.5697 0.7739 0.3395
161 O 0.6572 0.0026 0.0038
162 O 0.6572 0.4974 0.5038
163 O 0.6639 0.5603 0.7937
164 O 0.6639 0.9397 0.2937
165 O 0.6687 0.5589 0.2003
166 O 0.6687 0.9411 0.7003
167 O 0.7121 0.1503 0.5547
168 O 0.7121 0.3497 0.0547
169 O 0.7269 0.6696 0.9422
170 O 0.7269 0.8304 0.4422
171 O 0.7501 0.2345 0.7593
172 O 0.7501 0.2655 0.2593
173 O 0.7499 0.7345 0.7593
174 O 0.7499 0.7655 0.2593
175 O 0.7731 0.1696 0.9422
176 O 0.7731 0.3304 0.4422
177 O 0.7879 0.6503 0.5547
178 O 0.7879 0.8497 0.0547
179 O 0.8313 0.0589 0.2003
180 O 0.8313 0.4411 0.7003
181 O 0.8361 0.0603 0.7937
182 O 0.8361 0.4397 0.2937
183 O 0.8428 0.5026 0.0038
184 O 0.8428 0.9974 0.5038
185 O 0.9303 0.2261 0.8395
186 O 0.9303 0.2739 0.3395
187 O 0.9548 0.7161 0.3434
188 O 0.9548 0.7839 0.8434
189 O 0.9930 0.5012 0.8290
190 O 0.9930 0.9988 0.3290
191 O 0.9955 0.1568 0.5027
192 O 0.9955 0.3432 0.0027

---

2.
Compound: MgCrTeW2O12
Source: Materials Project
Functional: GGA+U
Structure: optimized geometry

Computed properties:
corrected total energy (MP2020 scheme) = -133.6 eV/cell
calculated volume = 12.2 A^3/atom
spin magnetization = 2.0 μB/cell
ΔE_f = -33.958 eV/f.u.

a = 5.1701 Å, b = 5.3885 Å, c = 7.4819 Å
α = 87.03°, β = 89.81°, γ = 89.94°
Positions (direct):
1 Mg 0.0000 0.0000 0.0000
2 Cr 0.0080 0.4244 0.1966
3 Te 0.4995 0.9029 0.7027
4 W 0.0015 0.4121 0.6862
5 W 0.5063 0.9125 0.2128
6 O 0.0819 0.3857 0.9422
7 O 0.2022 0.7054 0.6409
8 O 0.2054 0.1071 0.2324
9 O 0.2922 0.6137 0.2397
10 O 0.3025 0.1991 0.6438
11 O 0.3712 0.9006 0.9445
12 O 0.6107 0.9038 0.4562
13 O 0.6975 0.6034 0.7517
14 O 0.7148 0.1935 0.1497
15 O 0.8029 0.7212 0.1355
16 O 0.8065 0.0878 0.7635
17 O 0.9066 0.4062 0.4481

---

3.
Compound: MgCrSbO4
Source: Materials Project
Functional: GGA+U
Structure: optimized geometry

Computed properties:
corrected total energy (MP2020 scheme) = -98.0 eV/cell
calculated volume = 12.4 A^3/atom
spin magnetization = 6.3 μB/cell
ΔE_f = -13.811 eV/f.u.

a = 4.3360 Å, b = 4.5382 Å, c = 8.8572 Å
α = 90.00°, β = 90.00°, γ = 90.00°
Positions (direct):
1 Mg 0.0000 0.0000 0.0000
2 Mg 0.5000 0.5000 0.5000
3 Cr 0.0000 0.5000 0.2455
4 Cr 0.5000 0.0000 0.7455
5 Sb 0.0000 0.0000 0.4788
6 Sb 0.5000 0.5000 0.9788
7 O 0.0000 0.0000 0.2388
8 O 0.0000 0.0000 0.7652
9 O 0.0000 0.5000 0.0204
10 O 0.0000 0.5000 0.4721
11 O 0.5000 0.0000 0.5204
12 O 0.5000 0.0000 0.9721
13 O 0.5000 0.5000 0.2652
14 O 0.5000 0.5000 0.7388

---

4.
Compound: AlV4Cu3O12
Source: Materials Project
Functional: GGA+U
Structure: optimized geometry

Computed properties:
corrected total energy (MP2020 scheme) = -148.4 eV/cell
calculated volume = 9.9 A^3/atom
spin magnetization = 3.4 μB/cell
ΔE_f = -36.693 eV/f.u.

a = 6.3806 Å, b = 6.3806 Å, c = 6.3806 Å
α = 109.61°, β = 109.61°, γ = 109.61°
Positions (direct):
1 Al 0.0000 0.0000 0.0000
2 V 0.0000 0.0000 0.5000
3 V 0.0000 0.5000 0.0000
4 V 0.5000 0.0000 0.0000
5 V 0.5000 0.5000 0.5000
6 Cu 0.0000 0.5000 0.5000
7 Cu 0.5000 0.0000 0.5000
8 Cu 0.5000 0.5000 0.0000
9 O 0.1181 0.8218 0.2892
10 O 0.1704 0.2936 0.4690
11 O 0.1782 0.7108 0.8819
12 O 0.2892 0.1181 0.8218
13 O 0.2936 0.4690 0.1704
14 O 0.4690 0.1704 0.2936
15 O 0.5310 0.8296 0.7064
16 O 0.7064 0.5310 0.8296
17 O 0.7108 0.8819 0.1782
18 O 0.8218 0.2892 0.1181
19 O 0.8296 0.7064 0.5310
20 O 0.8819 0.1782 0.7108

---

Q: The highest corrected total energy (MP2020 scheme) belongs to which entry?
A: MgCrSbO4

---

Q: What is the formula in the fourth record?
A: AlV4Cu3O12